(1)
First-principles (r2SCAN) data for an optimized crystal structure of PuSb3, as listed in the Materials Project database.

a b c (Å): 5.993 6.459 6.459
angles (deg): 60.06 90.00 90.00
Sites, in units of the cell vectors:
Pu  0.000  0.000  0.000
Pu  0.500  0.333  0.333
Sb  0.000  0.017  0.490
Sb  0.000  0.489  0.489
Sb  0.000  0.490  0.017
Sb  0.500  0.314  0.841
Sb  0.500  0.841  0.314
Sb  0.500  0.841  0.841

**SG**: No. 38
**Formation enthalpy at 0 K**: -0.446 eV/atom
**Crystal system**: orthorhombic

***

(2)
First-principles (r2SCAN) data for an optimized crystal structure of YHoIr2, as listed in the Materials Project database.

a b c (Å): 4.818 4.818 4.818
angles (deg): 60.00 60.00 60.00
Sites, in units of the cell vectors:
Y  0.000  0.000  0.000
Ho  0.500  0.500  0.500
Ir  0.250  0.250  0.250
Ir  0.750  0.750  0.750

**SG**: No. 225
**Formation enthalpy at 0 K**: -0.934 eV/atom
**Crystal system**: cubic

***

(3)
First-principles (r2SCAN) data for an optimized crystal structure of Fe3Si, as listed in the Materials Project database.

a b c (Å): 3.979 3.979 3.979
angles (deg): 60.00 60.00 60.00
Sites, in units of the cell vectors:
Fe  0.000  0.000  0.000
Fe  0.250  0.250  0.250
Fe  0.750  0.750  0.750
Si  0.500  0.500  0.500

**SG**: No. 225
**Formation enthalpy at 0 K**: -0.199 eV/atom
**Crystal system**: cubic

***

(4)
First-principles (r2SCAN) data for an optimized crystal structure of BaCaP2O7, as listed in the Materials Project database.

a b c (Å): 12.078 10.626 9.550
angles (deg): 90.00 94.73 90.00
Sites, in units of the cell vectors:
Ba  0.084  0.013  0.225
Ba  0.084  0.487  0.725
Ba  0.343  0.192  0.907
Ba  0.343  0.308  0.407
Ba  0.657  0.692  0.593
Ba  0.657  0.808  0.093
Ba  0.916  0.513  0.275
Ba  0.916  0.987  0.775
Ca  0.217  0.653  0.328
Ca  0.217  0.847  0.828
Ca  0.348  0.577  0.990
Ca  0.348  0.923  0.490
Ca  0.652  0.077  0.510
Ca  0.652  0.423  0.010
Ca  0.783  0.153  0.172
Ca  0.783  0.347  0.672
P  0.061  0.728  0.029
P  0.061  0.772  0.529
P  0.158  0.138  0.613
P  0.158  0.362  0.113
P  0.344  0.605  0.617
P  0.344  0.895  0.117
P  0.498  0.092  0.244
P  0.498  0.408  0.744
P  0.502  0.592  0.256
P  0.502  0.908  0.756
P  0.656  0.105  0.883
P  0.656  0.395  0.383
P  0.842  0.638  0.887
P  0.842  0.862  0.387
P  0.939  0.228  0.471
P  0.939  0.272  0.971
O  0.030  0.135  0.549
O  0.030  0.365  0.049
O  0.041  0.638  0.478
O  0.041  0.862  0.978
O  0.053  0.716  0.186
O  0.053  0.784  0.686
O  0.159  0.045  0.733
O  0.159  0.455  0.233
O  0.169  0.676  0.981
O  0.169  0.824  0.481
O  0.190  0.231  0.162
O  0.190  0.269  0.662
O  0.224  0.097  0.491
O  0.224  0.403  0.991
O  0.264  0.519  0.531
O  0.264  0.981  0.031
O  0.297  0.638  0.755
O  0.297  0.862  0.255
O  0.377  0.574  0.243
O  0.377  0.926  0.743
O  0.380  0.714  0.532
O  0.380  0.786  0.032
O  0.450  0.208  0.173
O  0.450  0.292  0.673
O  0.454  0.075  0.388
O  0.454  0.425  0.888
O  0.459  0.530  0.650
O  0.459  0.970  0.150
O  0.541  0.030  0.850
O  0.541  0.470  0.350
O  0.546  0.575  0.112
O  0.546  0.925  0.612
O  0.550  0.708  0.327
O  0.550  0.792  0.827
O  0.620  0.214  0.968
O  0.620  0.286  0.468
O  0.623  0.074  0.257
O  0.623  0.426  0.757
O  0.703  0.138  0.745
O  0.703  0.362  0.245
O  0.736  0.019  0.969
O  0.736  0.481  0.469
O  0.776  0.597  0.009
O  0.776  0.903  0.509
O  0.810  0.731  0.338
O  0.810  0.769  0.838
O  0.831  0.176  0.519
O  0.831  0.324  0.019
O  0.841  0.545  0.767
O  0.841  0.955  0.267
O  0.947  0.216  0.314
O  0.947  0.284  0.814
O  0.959  0.138  0.022
O  0.959  0.362  0.522
O  0.970  0.635  0.951
O  0.970  0.865  0.451

**SG**: No. 14
**Formation enthalpy at 0 K**: -3.025 eV/atom
**Crystal system**: monoclinic